Entry 1:
This record from the Materials Project describes a geometry-optimized HgBr6N4 structure. The functional is GGA-PBE.

Lattice parameters (Å, degrees): 9.021 9.021 10.337 90.00 90.00 90.00
Atoms (fractional coordinates):
Br (0.137, 0.339, 0.000)
Hg (0.000, 0.000, 0.000)
Br (0.161, 0.363, 0.500)
Br (0.339, 0.863, 0.000)
Hg (0.500, 0.500, 0.500)
N (0.456, 0.956, 0.250)
N (0.456, 0.956, 0.750)
Br (0.500, 0.500, 0.739)
N (0.956, 0.544, 0.750)
Br (0.661, 0.137, 0.000)
Br (0.500, 0.500, 0.261)
N (0.044, 0.456, 0.750)
Br (0.839, 0.637, 0.500)
Br (0.000, 0.000, 0.761)
Br (0.863, 0.661, 0.000)
Br (0.000, 0.000, 0.239)
N (0.956, 0.544, 0.250)
N (0.544, 0.044, 0.750)
Br (0.637, 0.161, 0.500)
N (0.544, 0.044, 0.250)
Br (0.363, 0.839, 0.500)
N (0.044, 0.456, 0.250)

Results
E (MP2020) ... -82.7 eV/cell
Total magnetic moment ... 8.0 μB/cell
Formation energy ... 4.409 kcal/mol of atoms

Entry 2:
This record from the Materials Project describes a geometry-optimized Sr2MgCuP2O8 structure. The functional is GGA-PBE.

Lattice parameters (Å, degrees): 5.643 8.129 6.271 108.90 90.00 110.31
Atoms (fractional coordinates):
Sr (0.211, 0.421, 0.235)
O (0.375, 0.314, 0.545)
P (0.174, 0.348, 0.708)
O (0.271, 0.541, 0.895)
Sr (0.789, 0.579, 0.765)
Mg (0.000, 0.000, 0.500)
O (0.938, 0.314, 0.545)
P (0.826, 0.652, 0.292)
O (0.906, 0.811, 0.185)
O (0.625, 0.686, 0.455)
O (0.729, 0.459, 0.105)
O (0.094, 0.189, 0.815)
O (0.062, 0.686, 0.455)
Cu (0.500, 0.000, 0.500)

Results
Energy above the most stable polymorph in this dataset ... 0.065 eV/atom
E (MP2020) ... -95.6 eV/cell
Total magnetic moment ... 0.1 μB/cell
Formation energy ... -59.455 kcal/mol of atoms

Entry 3:
This record from the Materials Project describes a geometry-optimized Sr2SmBiO6 structure. The functional is GGA-PBE.

Lattice parameters (Å, degrees): 6.158 6.158 6.158 60.00 60.00 60.00
Atoms (fractional coordinates):
O (0.758, 0.242, 0.758)
O (0.242, 0.758, 0.242)
O (0.758, 0.242, 0.242)
O (0.758, 0.758, 0.242)
Sr (0.250, 0.250, 0.250)
Bi (0.000, 0.000, 0.000)
Sm (0.500, 0.500, 0.500)
Sr (0.750, 0.750, 0.750)
O (0.242, 0.758, 0.758)
O (0.242, 0.242, 0.758)

Results
E (MP2020) ... -68.6 eV/cell
Total magnetic moment ... 0.0 μB/cell
Formation energy ... -62.050 kcal/mol of atoms

Entry 4:
This record from the Materials Project describes a geometry-optimized MoNCl3 structure. The functional is GGA-PBE.

Lattice parameters (Å, degrees): 8.068 8.469 9.461 99.36 108.24 108.65
Atoms (fractional coordinates):
Cl (0.718, 0.068, 0.850)
N (0.563, 0.670, 0.693)
Cl (0.201, 0.477, 0.703)
Mo (0.485, 0.443, 0.766)
N (0.438, 0.294, 0.600)
Cl (0.282, 0.932, 0.150)
Mo (0.515, 0.557, 0.234)
Cl (0.682, 0.151, 0.483)
Cl (0.423, 0.271, 0.927)
Cl (0.189, 0.461, 0.118)
N (0.562, 0.706, 0.400)
Cl (0.811, 0.539, 0.882)
Cl (0.318, 0.849, 0.517)
Mo (0.625, 0.849, 0.631)
Mo (0.375, 0.151, 0.369)
N (0.437, 0.330, 0.307)
Cl (0.799, 0.523, 0.297)
Cl (0.069, 0.109, 0.342)
Cl (0.577, 0.729, 0.073)
Cl (0.931, 0.891, 0.658)

Results
E (MP2020) ... -119.4 eV/cell
Formation energy ... -23.601 kcal/mol of atoms

Entry 5:
This record from the Materials Project describes a geometry-optimized Pm2AgHg structure. The functional is GGA-PBE.

Lattice parameters (Å, degrees): 5.341 5.341 5.341 60.00 60.00 60.00
Atoms (fractional coordinates):
Ag (0.500, 0.500, 0.500)
Pm (0.750, 0.750, 0.750)
Pm (0.250, 0.250, 0.250)
Hg (0.000, 0.000, 0.000)

Results
Formation energy ... -8.767 kcal/mol of atoms

Entry 6:
This record from the Materials Project describes a geometry-optimized Ba2ErUO6 structure. The functional is GGA-PBE.

Lattice parameters (Å, degrees): 6.197 6.197 6.197 60.00 60.00 60.00
Atoms (fractional coordinates):
U (0.000, 0.000, 0.000)
Ba (0.250, 0.250, 0.250)
O (0.246, 0.754, 0.754)
Er (0.500, 0.500, 0.500)
O (0.754, 0.246, 0.754)
O (0.754, 0.754, 0.246)
O (0.754, 0.246, 0.246)
O (0.246, 0.246, 0.754)
Ba (0.750, 0.750, 0.750)
O (0.246, 0.754, 0.246)

Results
E (MP2020) ... -86.2 eV/cell
Total magnetic moment ... 1.0 μB/cell
Formation energy ... -84.800 kcal/mol of atoms